No. 1
VASP calculation (PBE+U) on an optimized crystal structure of Al2W3O12.

## Properties
Theoretical density (kg/m3): 6864
Formation energy from the elements (eV/atom): -2.40
Space group: P-1, No. 2

abc: 4.6301 5.4956 7.5995
angles: 87.04 88.19 88.22
Last column: nearest neighbours and their distance in Å.
Fractional coordinates of all 17 atoms:
1 O 0.7101 0.1595 0.6273  1 Al 1.84, 1 W 1.85
2 O 0.3017 0.1355 0.0639  2 Al 1.92-1.93, 1 W 2.03
3 O 0.7032 0.5643 0.2385  1 W 1.82, 1 Al 1.87
4 O 0.7885 0.0527 0.2677  1 Al 2.00, 2 W 2.02-2.05
5 W 0.9984 0.3540 0.1790  5 O 1.82-2.03
6 O 0.2899 0.8405 0.3727  1 Al 1.84, 1 W 1.85
7 O 0.1623 0.3113 0.4031  2 W 1.89-1.99
8 W 0.0000 0.0000 0.5000  6 O 1.85-2.05
9 Al 0.5023 0.1542 0.8382  6 O 1.84-2.02
10 O 0.1984 0.6350 0.0637  2 W 1.98-2.08, 1 Al 2.02
11 Al 0.4977 0.8458 0.1618  6 O 1.84-2.02
12 O 0.8377 0.6887 0.5969  2 W 1.89-1.99
13 W 0.0016 0.6460 0.8210  5 O 1.82-2.03
14 O 0.8016 0.3650 0.9363  2 W 1.98-2.08, 1 Al 2.02
15 O 0.2115 0.9473 0.7323  1 Al 2.00, 2 W 2.02-2.05
16 O 0.2968 0.4357 0.7615  1 W 1.82, 1 Al 1.87
17 O 0.6983 0.8645 0.9361  2 Al 1.92-1.93, 1 W 2.03


No. 2
VASP calculation (PBE+U) on an optimized crystal structure of Al2W3O12.

## Properties
Theoretical density (kg/m3): 4782
Formation energy from the elements (eV/atom): -2.49
Space group: P2_1/c, No. 14

abc: 9.3119 9.2217 15.8611
angles: 54.42 90.00 90.00
Last column: nearest neighbours and their distance in Å.
Fractional coordinates of all 68 atoms:
1 O 0.4328 0.2102 0.9776  1 W 1.81, 1 Al 1.93
2 O 0.0094 0.4308 0.2532  1 W 1.81, 1 Al 1.88
3 W 0.6173 0.7497 0.1443  4 O 1.81
4 O 0.0075 0.9408 0.2459  1 W 1.81, 1 Al 1.88
5 Al 0.0317 0.3680 0.8819  6 O 1.88-1.93
6 O 0.5075 0.0592 0.2541  1 W 1.81, 1 Al 1.88
7 Al 0.4683 0.3680 0.3819  6 O 1.88-1.93
8 O 0.6554 0.4945 0.5929  1 W 1.81, 1 Al 1.92
9 O 0.5668 0.8366 0.4783  1 W 1.80, 1 Al 1.93
10 Al 0.5317 0.6320 0.6181  6 O 1.88-1.93
11 O 0.6936 0.0258 0.8345  1 W 1.81, 1 Al 1.91
12 Al 0.5336 0.8678 0.8816  6 O 1.88-1.93
13 O 0.8804 0.2974 0.5691  1 W 1.81, 1 Al 1.89
14 O 0.5895 0.9510 0.1370  1 W 1.81, 1 Al 1.90
15 O 0.1933 0.3060 0.8348  1 W 1.81, 1 Al 1.91
16 W 0.2500 0.5256 0.4997  4 O 1.80-1.81
17 O 0.8446 0.4945 0.0929  1 W 1.81, 1 Al 1.92
18 O 0.6196 0.2974 0.0691  1 W 1.81, 1 Al 1.89
19 O 0.4906 0.4308 0.7532  1 W 1.81, 1 Al 1.88
20 O 0.9332 0.8366 0.9783  1 W 1.80, 1 Al 1.93
21 O 0.1196 0.7026 0.4309  1 W 1.81, 1 Al 1.89
22 W 0.3827 0.2503 0.8557  4 O 1.81
23 O 0.4332 0.1634 0.5217  1 W 1.80, 1 Al 1.93
24 O 0.4925 0.9408 0.7459  1 W 1.81, 1 Al 1.88
25 O 0.8377 0.6839 0.4055  1 W 1.81, 1 Al 1.92
26 O 0.1936 0.9742 0.6655  1 W 1.81, 1 Al 1.91
27 O 0.3446 0.5055 0.4071  1 W 1.81, 1 Al 1.92
28 W 0.8834 0.0380 0.8553  4 O 1.80-1.81
29 O 0.0672 0.2102 0.4776  1 W 1.81, 1 Al 1.93
30 Al 0.9664 0.8678 0.3816  6 O 1.88-1.93
31 W 0.7500 0.4744 0.5003  4 O 1.80-1.81
32 O 0.1256 0.5747 0.0670  1 W 1.80, 1 Al 1.89
33 O 0.9328 0.7898 0.5224  1 W 1.81, 1 Al 1.93
34 O 0.3804 0.7026 0.9309  1 W 1.81, 1 Al 1.89
35 W 0.1166 0.9620 0.1447  4 O 1.80-1.81
36 O 0.9925 0.0592 0.7541  1 W 1.81, 1 Al 1.88
37 O 0.3064 0.9742 0.1655  1 W 1.81, 1 Al 1.91
38 O 0.9112 0.2268 0.8603  1 W 1.81, 1 Al 1.90
39 O 0.9105 0.9510 0.6370  1 W 1.81, 1 Al 1.90
40 W 0.1173 0.2503 0.3557  4 O 1.81
41 O 0.8064 0.0258 0.3345  1 W 1.81, 1 Al 1.91
42 W 0.6166 0.0380 0.3553  4 O 1.80-1.81
43 O 0.6256 0.4253 0.4330  1 W 1.80, 1 Al 1.89
44 O 0.1623 0.3161 0.5945  1 W 1.81, 1 Al 1.92
45 Al 0.4664 0.1322 0.1184  6 O 1.88-1.93
46 W 0.7500 0.4744 0.0003  4 O 1.80-1.81
47 O 0.5672 0.7898 0.0224  1 W 1.81, 1 Al 1.93
48 W 0.2500 0.5256 0.9997  4 O 1.80-1.81
49 W 0.3834 0.9620 0.6447  4 O 1.80-1.81
50 O 0.6933 0.6940 0.6652  1 W 1.81, 1 Al 1.91
51 O 0.9906 0.5692 0.7468  1 W 1.81, 1 Al 1.88
52 O 0.5888 0.2268 0.3603  1 W 1.81, 1 Al 1.90
53 O 0.4105 0.0490 0.8630  1 W 1.81, 1 Al 1.90
54 O 0.1554 0.5055 0.9071  1 W 1.81, 1 Al 1.92
55 W 0.8827 0.7497 0.6443  4 O 1.81
56 O 0.0895 0.0490 0.3630  1 W 1.81, 1 Al 1.90
57 O 0.3067 0.3060 0.3348  1 W 1.81, 1 Al 1.91
58 O 0.6623 0.6839 0.9055  1 W 1.81, 1 Al 1.92
59 Al 0.9683 0.6320 0.1181  6 O 1.88-1.93
60 O 0.5094 0.5692 0.2468  1 W 1.81, 1 Al 1.88
61 O 0.0888 0.7732 0.1397  1 W 1.81, 1 Al 1.90
62 O 0.8744 0.4253 0.9330  1 W 1.80, 1 Al 1.89
63 O 0.4112 0.7732 0.6397  1 W 1.81, 1 Al 1.90
64 O 0.3377 0.3161 0.0945  1 W 1.81, 1 Al 1.92
65 O 0.3744 0.5747 0.5670  1 W 1.80, 1 Al 1.89
66 O 0.8067 0.6940 0.1652  1 W 1.81, 1 Al 1.91
67 O 0.0668 0.1634 0.0217  1 W 1.80, 1 Al 1.93
68 Al 0.0336 0.1322 0.6184  6 O 1.88-1.93


No. 3
VASP calculation (PBE+U) on an optimized crystal structure of AlWO4.

## Properties
Theoretical density (kg/m3): 7188
Formation energy from the elements (eV/atom): -2.68
Space group: Cmmm, No. 65

abc: 3.0901 4.5328 4.5328
angles: 90.51 90.00 90.00
Last column: nearest neighbours and their distance in Å.
Fractional coordinates of all 6 atoms:
1 O 0.0000 0.7946 0.2054  1 Al 1.90, 2 W 2.03
2 O 0.0000 0.2054 0.7946  1 Al 1.90, 2 W 2.03
3 O 0.5000 0.6941 0.6941  1 W 1.95, 2 Al 1.98
4 O 0.5000 0.3059 0.3059  1 W 1.95, 2 Al 1.98
5 Al 0.0000 0.5000 0.5000  6 O 1.90-1.98
6 W 0.5000 0.0000 0.0000  6 O 1.95-2.03


No. 4
VASP calculation (PBE+U) on an optimized crystal structure of Al2W3O12.

## Properties
Theoretical density (kg/m3): 4784
Formation energy from the elements (eV/atom): -2.49
Space group: P2_12_12, No. 18

abc: 9.2225 9.3110 12.8926
angles: 90.00 90.00 90.00
Last column: nearest neighbours and their distance in Å.
Fractional coordinates of all 68 atoms:
1 O 0.9314 0.6815 0.4780  1 W 1.80, 1 Al 1.93
2 W 0.2233 0.0000 0.5000  4 O 1.80-1.81
3 W 0.7767 0.5000 0.0000  4 O 1.80-1.81
4 O 0.3835 0.3708 0.5689  1 W 1.80, 1 Al 1.89
5 O 0.5649 0.2447 0.2551  1 W 1.81, 1 Al 1.87
6 O 0.9392 0.7395 0.2537  1 W 1.81, 1 Al 1.89
7 O 0.0686 0.1815 0.0220  1 W 1.80, 1 Al 1.93
8 O 0.1111 0.9432 0.1657  1 W 1.81, 1 Al 1.91
9 W 0.1451 0.1330 0.1457  4 O 1.80-1.81
10 Al 0.4983 0.7826 0.3803  6 O 1.87-1.93
11 W 0.2741 0.5000 0.5000  4 O 1.80-1.82
12 O 0.6614 0.3374 0.6431  1 W 1.81, 1 Al 1.90
13 O 0.1634 0.6604 0.1382  1 W 1.81, 1 Al 1.90
14 O 0.4361 0.3153 0.9794  1 W 1.80, 1 Al 1.93
15 O 0.9392 0.2605 0.7463  1 W 1.81, 1 Al 1.89
16 O 0.8889 0.5568 0.6657  1 W 1.81, 1 Al 1.91
17 Al 0.9984 0.7174 0.6176  6 O 1.89-1.93
18 W 0.8549 0.3670 0.6457  4 O 1.80-1.81
19 O 0.3932 0.4449 0.1658  1 W 1.82, 1 Al 1.91
20 O 0.0608 0.2395 0.2463  1 W 1.81, 1 Al 1.89
21 Al 0.4983 0.2174 0.6197  6 O 1.87-1.93
22 O 0.3366 0.9073 0.4064  1 W 1.81, 1 Al 1.92
23 O 0.6165 0.8708 0.9311  1 W 1.80, 1 Al 1.89
24 O 0.9314 0.3185 0.5220  1 W 1.80, 1 Al 1.93
25 W 0.1451 0.8670 0.8543  4 O 1.80-1.81
26 O 0.6614 0.6626 0.3569  1 W 1.81, 1 Al 1.90
27 O 0.6068 0.9449 0.3342  1 W 1.82, 1 Al 1.91
28 O 0.8410 0.9106 0.0948  1 W 1.82, 1 Al 1.92
29 O 0.1111 0.0568 0.8343  1 W 1.81, 1 Al 1.91
30 O 0.8922 0.3732 0.9344  1 W 1.80, 1 Al 1.89
31 O 0.3366 0.0927 0.5936  1 W 1.81, 1 Al 1.92
32 O 0.6068 0.0551 0.6658  1 W 1.82, 1 Al 1.91
33 O 0.4361 0.6847 0.0206  1 W 1.80, 1 Al 1.93
34 O 0.3835 0.6292 0.4311  1 W 1.80, 1 Al 1.89
35 O 0.6165 0.1292 0.0689  1 W 1.80, 1 Al 1.89
36 W 0.7259 0.0000 0.0000  4 O 1.80-1.82
37 O 0.1078 0.8732 0.5656  1 W 1.80, 1 Al 1.89
38 O 0.5649 0.7553 0.7449  1 W 1.81, 1 Al 1.87
39 O 0.8889 0.4432 0.3343  1 W 1.81, 1 Al 1.91
40 O 0.1590 0.5894 0.5948  1 W 1.82, 1 Al 1.92
41 Al 0.9984 0.2826 0.3824  6 O 1.89-1.93
42 W 0.8549 0.6330 0.3543  4 O 1.80-1.81
43 W 0.3575 0.3654 0.8566  4 O 1.80-1.82
44 O 0.1634 0.3396 0.8618  1 W 1.81, 1 Al 1.90
45 O 0.8366 0.8396 0.6382  1 W 1.81, 1 Al 1.90
46 O 0.6634 0.5927 0.9064  1 W 1.81, 1 Al 1.92
47 O 0.8366 0.1604 0.3618  1 W 1.81, 1 Al 1.90
48 O 0.1078 0.1268 0.4344  1 W 1.80, 1 Al 1.89
49 O 0.1590 0.4106 0.4052  1 W 1.82, 1 Al 1.92
50 Al 0.0016 0.2174 0.8824  6 O 1.89-1.93
51 O 0.4351 0.2553 0.7551  1 W 1.81, 1 Al 1.87
52 O 0.8922 0.6268 0.0656  1 W 1.80, 1 Al 1.89
53 O 0.0686 0.8185 0.9780  1 W 1.80, 1 Al 1.93
54 W 0.3575 0.6346 0.1434  4 O 1.80-1.82
55 O 0.5639 0.1847 0.4794  1 W 1.80, 1 Al 1.93
56 O 0.3386 0.1626 0.1431  1 W 1.81, 1 Al 1.90
57 O 0.0608 0.7605 0.7537  1 W 1.81, 1 Al 1.89
58 O 0.5639 0.8153 0.5206  1 W 1.80, 1 Al 1.93
59 O 0.6634 0.4073 0.0936  1 W 1.81, 1 Al 1.92
60 W 0.6425 0.1346 0.3566  4 O 1.80-1.82
61 Al 0.5017 0.7174 0.8803  6 O 1.87-1.93
62 O 0.3932 0.5551 0.8342  1 W 1.82, 1 Al 1.91
63 Al 0.5017 0.2826 0.1197  6 O 1.87-1.93
64 W 0.6425 0.8654 0.6434  4 O 1.80-1.82
65 O 0.3386 0.8374 0.8569  1 W 1.81, 1 Al 1.90
66 Al 0.0016 0.7826 0.1176  6 O 1.89-1.93
67 O 0.4351 0.7447 0.2449  1 W 1.81, 1 Al 1.87
68 O 0.8410 0.0894 0.9052  1 W 1.82, 1 Al 1.92


Question: theoretical density of number 3 (AlWO4)?
Answer: 7188 kg/m3